## HfSiGeS2O12 (PBE)

Data for HfSiGeS2O12 after structural relaxation.

Cell lengths 8.672, 8.698, 22.495 Å; angles 90.29, 90.00, 120.21 degrees
Fractional coordinates of all 102 atoms:
Hf: 0.334 0.663 0.525
Hf: 0.023 0.010 0.853
Hf: 0.329 0.667 0.027
Hf: 0.665 0.337 0.196
Hf: 0.650 0.325 0.979
Hf: 0.334 0.667 0.804
S: 0.270 0.985 0.255
S: 0.035 0.667 0.415
S: 0.720 0.010 0.744
S: 0.339 0.369 0.417
S: 0.683 0.624 0.584
S: 0.720 0.733 0.252
S: 0.685 0.049 0.088
S: 0.045 0.382 0.916
S: 0.374 0.055 0.582
S: 0.988 0.710 0.743
S: 0.950 0.637 0.089
S: 0.621 0.670 0.915
O: 0.838 0.023 0.096
O: 0.027 0.831 0.405
O: 0.109 0.621 0.362
O: 0.489 0.131 0.636
O: 0.374 0.481 0.364
O: 0.958 0.789 0.797
O: 0.705 0.169 0.737
O: 0.827 0.036 0.798
O: 0.523 0.645 0.576
O: 0.489 0.349 0.146
O: 0.166 0.192 0.686
O: 0.813 0.965 0.406
O: 0.145 0.688 0.751
O: 0.354 0.854 0.857
O: 0.497 0.300 0.732
O: 0.634 0.146 0.420
O: 0.132 0.663 0.083
O: 0.513 0.144 0.922
O: 0.200 0.492 0.267
O: 0.868 0.517 0.140
O: 0.849 0.321 0.243
O: 0.877 0.377 0.925
O: 0.218 0.162 0.801
O: 0.192 0.024 0.590
O: 0.851 0.513 0.424
O: 0.826 0.532 0.739
O: 0.978 0.170 0.312
O: 0.844 0.800 0.594
O: 0.540 0.851 0.750
O: 0.813 0.286 0.525
O: 0.544 0.716 0.260
O: 0.132 0.496 0.574
O: 0.504 0.360 0.428
O: 0.159 0.949 0.200
O: 0.295 0.446 0.469
O: 0.956 0.807 0.100
O: 0.848 0.556 0.034
O: 0.853 0.364 0.643
O: 0.450 0.143 0.247
O: 0.801 0.842 0.198
O: 0.312 0.835 0.975
O: 0.192 0.019 0.308
O: 0.337 0.488 0.078
O: 0.655 0.133 0.140
O: 0.538 0.690 0.970
O: 0.795 0.965 0.691
O: 0.637 0.509 0.638
O: 0.719 0.160 0.034
O: 0.448 0.170 0.529
O: 0.176 0.132 0.095
O: 0.323 0.476 0.753
O: 0.947 0.141 0.591
O: 0.459 0.293 0.030
O: 0.837 0.806 0.305
O: 0.159 0.457 0.969
O: 0.506 0.629 0.862
O: 0.652 0.519 0.924
O: 0.060 0.212 0.196
O: 0.701 0.554 0.245
O: 0.360 0.879 0.574
O: 0.524 0.872 0.080
O: 0.286 0.824 0.260
O: 0.713 0.545 0.531
O: 0.129 0.485 0.862
O: 0.487 0.856 0.355
O: 0.791 0.833 0.906
O: 0.013 0.200 0.908
O: 0.019 0.821 0.690
O: 0.158 0.968 0.911
O: 0.148 0.697 0.468
O: 0.184 0.185 0.408
O: 0.523 0.828 0.471
Si: 0.021 0.299 0.255
Si: 0.335 0.950 0.916
Si: 0.937 0.323 0.584
Si: 0.304 0.284 0.742
Si: 0.363 0.319 0.089
Si: 0.618 0.950 0.414
Ge: 0.671 0.309 0.474
Ge: 0.329 0.672 0.314
Ge: 0.987 0.010 0.356
Ge: 0.003 0.024 0.642
Ge: 0.019 0.028 0.151
Ge: 0.671 0.340 0.684

Computed properties:
**SG**: P1, No. 1
**Energy relative to the elements**: -2427 meV/atom